Compound: YCdCu3Se4
Source: Materials Project
Functional: PBE
Structure: relaxed

For the MP2020-corrected energy, the calculation gives -4.48 eV/atom. Its formation energy is -0.742 eV/atom. As for the crystal system: cubic. For the total magnetization, the calculation gives 0.00 Bohr magnetons per cell. As for the calculated volume: 24.7 Å³/atom. The final energy comes out at -4.27 eV per atom.

It has space group P-43m (No. 215), with a = 6.059 Å, b = 6.059 Å, c = 6.059 Å, α = 90.00°, β = 90.00° and γ = 90.00°. The inequivalent atoms are Y at (0.000, 0.000, 0.000), Cd at (0.500, 0.500, 0.500), Cu at (0.000, 0.000, 0.500) and Se at (0.250, 0.250, 0.250).